The following is a DFT calculation (PBE) of a relaxed structure of ScAl3.

As for the calculated density: 3017 kg/m³. Its energy of formation is -0.4549 eV per atom.

Geometry as POSCAR:
```
ScAl3
1.0
4.107 0.000 0.000
0.000 4.107 0.000
0.000 0.000 4.107
Sc Al
1 3
direct
0.000 0.000 0.000
0.500 0.000 0.500
0.000 0.500 0.500
0.500 0.500 0.000
```

***

The following is a DFT calculation (PBE) of a relaxed structure of MnC4N6.

As for the calculated density: 1772 kg/m³. Its energy of formation is 0.0688 eV per atom. Its total energy after the MP2020 corrections is -190.7 eV/cell.

Geometry as POSCAR:
```
MnC4N6
1.0
-5.082 3.646 -0.299
-3.849 -5.045 3.890
2.045 3.376 6.402
Mn C N
2 8 12
direct
0.000 0.000 0.000
0.500 0.500 0.500
0.739 0.146 0.349
0.739 0.146 0.651
0.239 0.354 0.849
0.261 0.854 0.349
0.761 0.646 0.151
0.261 0.854 0.651
0.239 0.354 0.151
0.761 0.646 0.849
0.211 0.906 0.208
0.711 0.594 0.708
0.173 0.286 0.000
0.211 0.906 0.792
0.289 0.406 0.292
0.327 0.786 0.500
0.289 0.406 0.708
0.789 0.094 0.792
0.827 0.714 0.000
0.789 0.094 0.208
0.673 0.214 0.500
0.711 0.594 0.292
```

***

The following is a DFT calculation (PBE) of a relaxed structure of Na5TiIn3P6O24.

As for the calculated density: 3400 kg/m³. Its energy of formation is -2.6300 eV per atom. Its total energy after the MP2020 corrections is -829.7 eV/cell.

Geometry as POSCAR:
```
Na5TiIn3P6O24
1.0
8.994 -0.001 -0.004
-4.498 7.789 0.004
-0.009 0.008 22.527
Na Ti In P O
15 3 9 18 72
direct
0.637 0.001 0.254
0.364 0.364 0.255
0.999 0.636 0.254
0.643 0.640 0.749
0.999 0.360 0.750
0.034 0.701 0.580
0.664 0.965 0.580
0.663 0.700 0.080
0.035 0.334 0.080
0.012 0.013 0.496
0.011 0.999 0.994
0.655 0.321 0.834
0.667 0.334 0.341
0.333 0.679 0.166
0.333 0.665 0.665
0.665 0.333 0.977
0.664 0.332 0.480
0.334 0.673 0.820
0.999 0.999 0.355
0.002 0.001 0.852
0.009 0.007 0.650
0.007 0.999 0.147
0.658 0.327 0.683
0.664 0.330 0.180
0.333 0.672 0.013
0.333 0.659 0.514
0.333 0.665 0.325
0.295 0.998 0.250
0.703 0.704 0.248
0.002 0.297 0.248
0.297 0.304 0.753
0.007 0.704 0.750
0.698 0.995 0.751
0.957 0.334 0.583
0.374 0.041 0.581
0.666 0.625 0.584
0.957 0.623 0.081
0.665 0.041 0.082
0.375 0.333 0.080
0.627 0.662 0.918
0.035 0.373 0.918
0.338 0.966 0.918
0.636 0.975 0.419
0.339 0.364 0.417
0.025 0.660 0.419
0.214 0.034 0.303
0.823 0.790 0.300
0.967 0.177 0.300
0.218 0.191 0.807
0.964 0.787 0.801
0.821 0.033 0.802
0.767 0.953 0.693
0.183 0.233 0.697
0.039 0.804 0.691
0.774 0.808 0.189
0.034 0.226 0.190
0.186 0.961 0.194
0.887 0.362 0.642
0.478 0.110 0.638
0.644 0.534 0.644
0.888 0.526 0.141
0.643 0.109 0.142
0.472 0.362 0.140
0.479 0.318 0.028
0.835 0.519 0.029
0.683 0.163 0.030
0.474 0.157 0.528
0.683 0.522 0.532
0.835 0.314 0.531
0.555 0.689 0.976
0.136 0.445 0.976
0.307 0.863 0.974
0.551 0.864 0.474
0.309 0.451 0.469
0.137 0.688 0.474
0.099 0.629 0.361
0.530 0.899 0.361
0.371 0.466 0.358
0.134 0.495 0.864
0.360 0.864 0.864
0.507 0.641 0.864
0.003 0.817 0.414
0.815 0.997 0.414
0.183 0.184 0.413
0.009 0.194 0.911
0.184 0.991 0.910
0.807 0.816 0.911
0.962 0.164 0.585
0.194 0.022 0.583
0.835 0.803 0.584
0.962 0.797 0.082
0.835 0.033 0.082
0.194 0.172 0.081
0.681 0.157 0.745
0.482 0.336 0.747
0.848 0.519 0.746
0.681 0.522 0.245
0.840 0.319 0.245
0.477 0.159 0.245
0.637 0.493 0.923
0.856 0.363 0.923
0.508 0.143 0.922
0.651 0.154 0.426
0.504 0.352 0.427
0.846 0.496 0.427
0.355 0.494 0.076
0.135 0.639 0.077
0.513 0.856 0.077
0.352 0.858 0.576
0.513 0.658 0.578
0.135 0.496 0.578
0.316 0.837 0.257
0.523 0.687 0.255
0.164 0.478 0.255
0.314 0.486 0.761
0.166 0.681 0.761
0.520 0.830 0.762
```

***

The following is a DFT calculation (PBE) of a relaxed structure of KSnAsS5.

As for the calculated density: 2912 kg/m³. Its energy of formation is -0.8061 eV per atom. Its total energy after the MP2020 corrections is -147.6 eV/cell.

Geometry as POSCAR:
```
KSnAsS5
1.0
7.597 0.000 0.000
0.000 8.338 0.000
0.000 0.000 14.153
K Sn As S
4 4 4 20
direct
0.500 0.894 0.840
0.500 0.606 0.340
0.500 0.394 0.660
0.500 0.106 0.160
0.732 0.000 0.500
0.732 0.500 0.000
0.268 0.500 0.000
0.268 0.000 0.500
0.000 0.697 0.778
0.000 0.803 0.278
0.000 0.303 0.222
0.000 0.197 0.722
0.000 0.714 0.023
0.235 0.548 0.818
0.000 0.786 0.523
0.500 0.208 0.463
0.765 0.048 0.682
0.235 0.952 0.318
0.765 0.548 0.818
0.000 0.865 0.910
0.000 0.365 0.590
0.000 0.286 0.977
0.765 0.952 0.318
0.000 0.135 0.090
0.765 0.452 0.182
0.500 0.292 0.963
0.235 0.452 0.182
0.000 0.214 0.477
0.500 0.708 0.037
0.235 0.048 0.682
0.500 0.792 0.537
0.000 0.635 0.410
```